The following is a GGA-PBE calculation of Li3BiS3 after structural relaxation, from the Materials Project database.

a b c (Å): 8.1392 8.1392 8.1392
angles (deg): 90.00 90.00 90.00
Atoms (fractional coordinates):
1 Li 0.0308 0.9692 0.4692
2 Li 0.1793 0.6793 0.8207
3 Li 0.2041 0.2959 0.7041
4 Li 0.2959 0.7041 0.2041
5 Li 0.3207 0.3207 0.3207
6 Li 0.4692 0.0308 0.9692
7 Li 0.5308 0.5308 0.5308
8 Li 0.6793 0.8207 0.1793
9 Li 0.7041 0.2041 0.2959
10 Li 0.7959 0.7959 0.7959
11 Li 0.8207 0.1793 0.6793
12 Li 0.9692 0.4692 0.0308
13 Bi 0.0755 0.0755 0.0755
14 Bi 0.4245 0.9245 0.5755
15 Bi 0.5755 0.4245 0.9245
16 Bi 0.9245 0.5755 0.4245
17 S 0.9942 0.7486 0.1230
18 S 0.1230 0.9942 0.7486
19 S 0.2514 0.6230 0.5058
20 S 0.2486 0.3770 0.0058
21 S 0.3770 0.0058 0.2486
22 S 0.5058 0.2514 0.6230
23 S 0.4942 0.7514 0.8770
24 S 0.6230 0.5058 0.2514
25 S 0.7514 0.8770 0.4942
26 S 0.7486 0.1230 0.9942
27 S 0.8770 0.4942 0.7514
28 S 0.0058 0.2486 0.3770

## Properties
Total magnetic moment (μB per formula unit): 0.0
Formation enthalpy at 0 K (eV/atom): -1.10
VASP energy (eV per atom): -4.035
Energy with MP2020 corrections (hartree per atom): -0.1562
Relative energy among the computed polymorphs (kcal/mol of atoms): 1.83

The following is a GGA-PBE calculation of RbSnS2 after structural relaxation, from the Materials Project database.

a b c (Å): 8.0535 8.0535 8.0535
angles (deg): 29.36 29.36 29.36
Atoms (fractional coordinates):
1 Rb 0.0000 0.0000 0.0000
2 Sn 0.5000 0.5000 0.5000
3 S 0.7694 0.7694 0.7694
4 S 0.2306 0.2306 0.2306

## Properties
Total magnetic moment (μB per formula unit): 0.2
Formation enthalpy at 0 K (eV/atom): -0.92
VASP energy (eV per atom): -3.981
Energy with MP2020 corrections (hartree per atom): -0.1555

The following is a GGA-PBE calculation of NbPCl6O2 after structural relaxation, from the Materials Project database.

a b c (Å): 15.1087 17.5961 17.7339
angles (deg): 90.00 90.00 92.86
Atoms (fractional coordinates):
1 Nb 0.0411 0.3499 0.5061
2 Nb 0.4589 0.6501 0.0061
3 Nb 0.9589 0.6501 0.4939
4 Nb 0.5411 0.3499 0.9939
5 Nb 0.8728 0.4645 0.3903
6 Nb 0.6272 0.5355 0.8903
7 Nb 0.1272 0.5355 0.6097
8 Nb 0.3728 0.4645 0.1097
9 Nb 0.0632 0.1490 0.9866
10 Nb 0.4368 0.8510 0.4866
11 Nb 0.9368 0.8510 0.0134
12 Nb 0.5632 0.1490 0.5134
13 Nb 0.8475 0.0485 0.0686
14 Nb 0.6525 0.9515 0.5686
15 Nb 0.1525 0.9515 0.9314
16 Nb 0.3475 0.0485 0.4314
17 P 0.9635 0.1808 0.3891
18 P 0.5365 0.8192 0.8891
19 P 0.0365 0.8192 0.6109
20 P 0.4635 0.1808 0.1109
21 P 0.7625 0.6023 0.2676
22 P 0.7375 0.3977 0.7676
23 P 0.2375 0.3977 0.7324
24 P 0.2625 0.6023 0.2324
25 P 0.9784 0.3385 0.0382
26 P 0.5216 0.6615 0.5382
27 P 0.0216 0.6615 0.9618
28 P 0.4784 0.3385 0.4618
29 P 0.6814 0.9356 0.1834
30 P 0.8186 0.0644 0.6834
31 P 0.3186 0.0644 0.8166
32 P 0.1814 0.9356 0.3166
33 Cl 0.9234 0.3191 0.5897
34 Cl 0.5766 0.6809 0.0897
35 Cl 0.0766 0.6809 0.4103
36 Cl 0.4234 0.3191 0.9103
37 Cl 0.1302 0.3626 0.3960
38 Cl 0.3698 0.6374 0.8960
39 Cl 0.8698 0.6374 0.6040
40 Cl 0.6302 0.3626 0.1040
41 Cl 0.1336 0.2613 0.5609
42 Cl 0.3664 0.7387 0.0609
43 Cl 0.8664 0.7387 0.4391
44 Cl 0.6336 0.2613 0.9391
45 Cl 0.0102 0.1987 0.2857
46 Cl 0.4898 0.8013 0.7857
47 Cl 0.9898 0.8013 0.7143
48 Cl 0.5102 0.1987 0.2143
49 Cl 0.8363 0.1500 0.3777
50 Cl 0.6637 0.8500 0.8777
51 Cl 0.1637 0.8500 0.6223
52 Cl 0.3363 0.1500 0.1223
53 Cl 0.0212 0.0886 0.4270
54 Cl 0.4788 0.9114 0.9270
55 Cl 0.9788 0.9114 0.5730
56 Cl 0.5212 0.0886 0.0730
57 Cl 0.9736 0.5017 0.2927
58 Cl 0.5264 0.4983 0.7927
59 Cl 0.0264 0.4983 0.7073
60 Cl 0.4736 0.5017 0.2073
61 Cl 0.7548 0.4624 0.4780
62 Cl 0.7452 0.5376 0.9780
63 Cl 0.2452 0.5376 0.5220
64 Cl 0.2548 0.4624 0.0220
65 Cl 0.7993 0.3733 0.3129
66 Cl 0.7007 0.6267 0.8129
67 Cl 0.2007 0.6267 0.6871
68 Cl 0.2993 0.3733 0.1871
69 Cl 0.8589 0.6769 0.2359
70 Cl 0.6411 0.3231 0.7359
71 Cl 0.1411 0.3231 0.7641
72 Cl 0.3589 0.6769 0.2641
73 Cl 0.6596 0.6644 0.2920
74 Cl 0.8404 0.3356 0.7920
75 Cl 0.3404 0.3356 0.7080
76 Cl 0.1596 0.6644 0.2080
77 Cl 0.7295 0.5441 0.1754
78 Cl 0.7705 0.4559 0.6754
79 Cl 0.2705 0.4559 0.8246
80 Cl 0.2295 0.5441 0.3246
81 Cl 0.9868 0.1710 0.8726
82 Cl 0.5132 0.8290 0.3726
83 Cl 0.0132 0.8290 0.1274
84 Cl 0.4868 0.1710 0.6274
85 Cl 0.1069 0.1517 0.1158
86 Cl 0.3931 0.8483 0.6158
87 Cl 0.8931 0.8483 0.8842
88 Cl 0.6069 0.1517 0.3842
89 Cl 0.1823 0.2332 0.9545
90 Cl 0.3177 0.7668 0.4545
91 Cl 0.8177 0.7668 0.0455
92 Cl 0.6823 0.2332 0.5455
93 Cl 0.0151 0.4037 0.9502
94 Cl 0.4849 0.5963 0.4502
95 Cl 0.9849 0.5963 0.0498
96 Cl 0.5151 0.4037 0.5498
97 Cl 0.8534 0.3606 0.0588
98 Cl 0.6466 0.6394 0.5588
99 Cl 0.1466 0.6394 0.9412
100 Cl 0.3534 0.3606 0.4412
101 Cl 0.0475 0.3790 0.1260
102 Cl 0.4525 0.6210 0.6260
103 Cl 0.9525 0.6210 0.8740
104 Cl 0.5475 0.3790 0.3740
105 Cl 0.9099 0.0217 0.1878
106 Cl 0.5901 0.9783 0.6878
107 Cl 0.0901 0.9783 0.8122
108 Cl 0.4099 0.0217 0.3122
109 Cl 0.7582 0.0403 0.9596
110 Cl 0.7418 0.9597 0.4596
111 Cl 0.2418 0.9597 0.0404
112 Cl 0.2582 0.0403 0.5404
113 Cl 0.7755 0.1523 0.1175
114 Cl 0.7245 0.8477 0.6175
115 Cl 0.2245 0.8477 0.8825
116 Cl 0.2755 0.1523 0.3825
117 Cl 0.6479 0.0077 0.2632
118 Cl 0.8521 0.9923 0.7632
119 Cl 0.3521 0.9923 0.7368
120 Cl 0.1479 0.0077 0.2368
121 Cl 0.7510 0.8585 0.2360
122 Cl 0.7490 0.1415 0.7360
123 Cl 0.2490 0.1415 0.7640
124 Cl 0.2510 0.8585 0.2640
125 Cl 0.5688 0.8807 0.1522
126 Cl 0.9312 0.1193 0.6522
127 Cl 0.4312 0.1193 0.8478
128 Cl 0.0688 0.8807 0.3478
129 O 0.9783 0.2465 0.4407
130 O 0.5217 0.7535 0.9407
131 O 0.0217 0.7535 0.5593
132 O 0.4783 0.2465 0.0593
133 O 0.7857 0.5539 0.3325
134 O 0.7143 0.4461 0.8325
135 O 0.2143 0.4461 0.6675
136 O 0.2857 0.5539 0.1675
137 O 0.9164 0.5655 0.4452
138 O 0.5836 0.4345 0.9452
139 O 0.0836 0.4345 0.5548
140 O 0.4164 0.5655 0.0548
141 O 0.9460 0.4044 0.4415
142 O 0.5540 0.5956 0.9415
143 O 0.0540 0.5956 0.5585
144 O 0.4460 0.4044 0.0585
145 O 0.9900 0.2566 0.0237
146 O 0.5100 0.7434 0.5237
147 O 0.0100 0.7434 0.9763
148 O 0.4900 0.2566 0.4763
149 O 0.7275 0.9720 0.1177
150 O 0.7725 0.0280 0.6177
151 O 0.2725 0.0280 0.8823
152 O 0.2275 0.9720 0.3823
153 O 0.8882 0.9391 0.0396
154 O 0.6118 0.0609 0.5396
155 O 0.1118 0.0609 0.9604
156 O 0.3882 0.9391 0.4604
157 O 0.9438 0.0985 0.0274
158 O 0.5562 0.9015 0.5274
159 O 0.0562 0.9015 0.9726
160 O 0.4438 0.0985 0.4726

## Properties
Total magnetic moment (μB per formula unit): 0.0
Formation enthalpy at 0 K (eV/atom): -1.52
VASP energy (eV per atom): -5.029
Energy with MP2020 corrections (hartree per atom): -0.1899

The following is a GGA-PBE calculation of Mg2Sb3O8 after structural relaxation, from the Materials Project database.

a b c (Å): 6.5350 6.5350 9.6253
angles (deg): 90.00 90.00 120.00
Atoms (fractional coordinates):
1 Mg 0.6667 0.3333 0.0294
2 Mg 0.3333 0.6667 0.5294
3 Mg 0.6667 0.3333 0.4047
4 Mg 0.3333 0.6667 0.9047
5 Sb 0.6696 0.8348 0.2422
6 Sb 0.8348 0.1652 0.7422
7 Sb 0.1652 0.3304 0.2422
8 Sb 0.8348 0.6696 0.7422
9 Sb 0.3304 0.1652 0.7422
10 Sb 0.1652 0.8348 0.2422
11 O 0.8303 0.1697 0.1461
12 O 0.6605 0.8303 0.6461
13 O 0.1697 0.3395 0.6461
14 O 0.8303 0.6605 0.1461
15 O 0.3395 0.1697 0.1461
16 O 0.1697 0.8303 0.6461
17 O 0.5177 0.4823 0.8765
18 O 0.0354 0.5177 0.3765
19 O 0.4823 0.9646 0.3765
20 O 0.5177 0.0354 0.8765
21 O 0.0000 0.0000 0.3482
22 O 0.0000 0.0000 0.8482
23 O 0.3333 0.6667 0.1168
24 O 0.9646 0.4823 0.8765
25 O 0.4823 0.5177 0.3765
26 O 0.6667 0.3333 0.6168

## Properties
Total magnetic moment (μB per formula unit): 0.0
Formation enthalpy at 0 K (eV/atom): -2.00
VASP energy (eV per atom): -5.817
Energy with MP2020 corrections (hartree per atom): -0.2293
Relative energy among the computed polymorphs (kcal/mol of atoms): 0.00

The following is a GGA-PBE calculation of Ba2Si3GeO10 after structural relaxation, from the Materials Project database.

a b c (Å): 4.7411 7.8740 13.8549
angles (deg): 90.00 90.00 90.02
Atoms (fractional coordinates):
1 Ba 0.2149 0.2506 0.5448
2 Ba 0.2851 0.2494 0.0448
3 Ba 0.7796 0.7553 0.4572
4 Ba 0.7204 0.7447 0.9572
5 Si 0.8537 0.5503 0.1803
6 Si 0.6463 0.9497 0.6803
7 Si 0.8547 0.9537 0.1832
8 Si 0.6453 0.5463 0.6832
9 Si 0.1450 0.4586 0.8165
10 Si 0.3550 0.0414 0.3165
11 Ge 0.1495 0.0437 0.8174
12 Ge 0.3505 0.4563 0.3174
13 O 0.3453 0.0468 0.7078
14 O 0.1547 0.4532 0.2078
15 O 0.6755 0.5532 0.2832
16 O 0.8245 0.9468 0.7832
17 O 0.6527 0.9507 0.2807
18 O 0.8473 0.5493 0.7807
19 O 0.3466 0.4561 0.7190
20 O 0.1534 0.0439 0.2190
21 O 0.2676 0.9531 0.9218
22 O 0.2324 0.5469 0.4218
23 O 0.7277 0.4624 0.0862
24 O 0.7723 0.0376 0.5862
25 O 0.7401 0.0447 0.0884
26 O 0.7599 0.4553 0.5884
27 O 0.2616 0.5488 0.9115
28 O 0.2384 0.9512 0.4115
29 O 0.0675 0.2593 0.8445
30 O 0.4325 0.2407 0.3445
31 O 0.9251 0.7522 0.1575
32 O 0.5749 0.7478 0.6575

## Properties
Total magnetic moment (μB per formula unit): 0.0
Formation enthalpy at 0 K (eV/atom): -3.14
VASP energy (eV per atom): -7.345
Energy with MP2020 corrections (hartree per atom): -0.2857

The following is a GGA-PBE calculation of AcInTe2 after structural relaxation, from the Materials Project database.

a b c (Å): 5.7246 5.7246 5.7246
angles (deg): 60.00 60.00 60.00
Atoms (fractional coordinates):
1 Ac 0.5000 0.5000 0.5000
2 In 0.0000 0.0000 0.0000
3 Te 0.2500 0.2500 0.2500
4 Te 0.7500 0.7500 0.7500

## Properties
Formation enthalpy at 0 K (eV/atom): -1.19
VASP energy (eV per atom): -4.269
Energy with MP2020 corrections (hartree per atom): -0.1646

The following is a GGA-PBE calculation of MgCu3Sn4O12 after structural relaxation, from the Materials Project database.

a b c (Å): 6.6690 6.9853 6.9856
angles (deg): 111.27 110.95 108.06
Atoms (fractional coordinates):
1 Mg 0.4135 0.5456 0.8678
2 Cu 0.5745 0.4379 0.1366
3 Cu 0.0043 0.5118 0.4925
4 Cu 0.4960 0.0064 0.4896
5 Sn 0.4944 0.5061 0.4907
6 Sn 0.9909 0.5104 0.9849
7 Sn 0.9908 0.0060 0.4805
8 Sn 0.4943 0.0037 0.9883
9 O 0.8179 0.3392 0.1312
10 O 0.1797 0.6765 0.8493
11 O 0.8179 0.6867 0.4788
12 O 0.3237 0.5112 0.1729
13 O 0.4939 0.1900 0.3039
14 O 0.1359 0.8328 0.3031
15 O 0.6779 0.8751 0.1623
16 O 0.4852 0.8142 0.6710
17 O 0.1797 0.3304 0.5031
18 O 0.6779 0.5156 0.8028
19 O 0.8579 0.1796 0.6783
20 O 0.3237 0.1508 0.8125

## Properties
Total magnetic moment (μB per formula unit): 1.0
Formation enthalpy at 0 K (eV/atom): -1.63
VASP energy (eV per atom): -5.683
Energy with MP2020 corrections (hartree per atom): -0.2240
Relative energy among the computed polymorphs (kcal/mol of atoms): 1.85

The following is a GGA-PBE calculation of Ca7Mg2N6 after structural relaxation, from the Materials Project database.

a b c (Å): 7.0359 12.6604 6.4233
angles (deg): 90.00 88.00 25.88
Atoms (fractional coordinates):
1 Ca 0.0000 0.5000 0.0000
2 Ca 0.0000 0.3775 0.5000
3 Ca 0.0000 0.6225 0.5000
4 Ca 0.6996 0.9777 0.8251
5 Ca 0.6996 0.3227 0.8251
6 Ca 0.3004 0.0223 0.1749
7 Ca 0.3004 0.6773 0.1749
8 Mg 0.2419 0.8790 0.6731
9 Mg 0.7581 0.1210 0.3269
10 N 0.4797 0.9051 0.8037
11 N 0.4797 0.6152 0.8037
12 N 0.5203 0.0949 0.1963
13 N 0.5203 0.3848 0.1963
14 N 0.4891 0.7555 0.3408
15 N 0.5109 0.2445 0.6592

## Properties
Total magnetic moment (μB per formula unit): 0.0
Formation enthalpy at 0 K (eV/atom): -0.86
VASP energy (eV per atom): -5.196
Energy with MP2020 corrections (hartree per atom): -0.1962

The following is a GGA-PBE calculation of Sr4LiY2Ru2O12 after structural relaxation, from the Materials Project database.

a b c (Å): 5.7408 6.0483 8.3055
angles (deg): 88.43 91.30 90.88
Atoms (fractional coordinates):
1 Sr 0.5175 0.5528 0.2570
2 Sr 0.9886 0.0587 0.2471
3 Sr 0.0369 0.9036 0.7182
4 Sr 0.4571 0.4477 0.7524
5 Li 0.8510 0.2125 0.8560
6 Y 0.5102 0.9993 0.4978
7 Y 0.9976 0.5372 0.0157
8 Ru 0.4883 0.0090 0.0003
9 Ru 0.0023 0.4883 0.4998
10 O 0.9208 0.4971 0.7413
11 O 0.5991 0.0411 0.7658
12 O 0.0839 0.4831 0.2682
13 O 0.4180 0.9790 0.2322
14 O 0.8103 0.7662 0.4596
15 O 0.6856 0.2913 0.0400
16 O 0.1986 0.2173 0.5395
17 O 0.3073 0.7341 0.9496
18 O 0.1948 0.1928 0.9521
19 O 0.2835 0.6917 0.5397
20 O 0.7714 0.8203 0.0439
21 O 0.7312 0.2956 0.4519

## Properties
Total magnetic moment (μB per formula unit): 5.0
Formation enthalpy at 0 K (eV/atom): -2.73
VASP energy (eV per atom): -7.080
Energy with MP2020 corrections (hartree per atom): -0.2746
Relative energy among the computed polymorphs (kcal/mol of atoms): 0.16

The following is a GGA-PBE calculation of VCrAs2 after structural relaxation, from the Materials Project database.

a b c (Å): 3.4370 5.7787 6.2201
angles (deg): 90.00 90.00 90.00
Atoms (fractional coordinates):
1 V 0.7500 0.4931 0.6932
2 V 0.7500 0.9931 0.8068
3 Cr 0.2500 0.5072 0.3071
4 Cr 0.2500 0.0072 0.1929
5 As 0.7500 0.2990 0.0802
6 As 0.7500 0.7990 0.4198
7 As 0.2500 0.7007 0.9262
8 As 0.2500 0.2007 0.5738

## Properties
Total magnetic moment (μB per formula unit): 1.0
Formation enthalpy at 0 K (eV/atom): -0.33
VASP energy (eV per atom): -7.341

The following is a GGA-PBE calculation of LaGaO3 after structural relaxation, from the Materials Project database.

a b c (Å): 5.5592 5.5887 7.8786
angles (deg): 90.00 90.00 90.00
Atoms (fractional coordinates):
1 La 0.4923 0.4665 0.7500
2 La 0.9923 0.0335 0.2500
3 La 0.0077 0.9665 0.7500
4 La 0.5077 0.5335 0.2500
5 Ga 0.0000 0.5000 0.5000
6 Ga 0.5000 0.0000 0.5000
7 Ga 0.5000 0.0000 0.0000
8 Ga 0.0000 0.5000 0.0000
9 O 0.7162 0.2848 0.4588
10 O 0.2162 0.2152 0.5412
11 O 0.7838 0.7848 0.0412
12 O 0.2838 0.7152 0.9588
13 O 0.2838 0.7152 0.5412
14 O 0.7838 0.7848 0.4588
15 O 0.2162 0.2152 0.9588
16 O 0.7162 0.2848 0.0412
17 O 0.0766 0.4846 0.2500
18 O 0.5766 0.0154 0.7500
19 O 0.4234 0.9846 0.2500
20 O 0.9234 0.5154 0.7500

## Properties
Total magnetic moment (μB per formula unit): 0.0
Formation enthalpy at 0 K (eV/atom): -3.10
VASP energy (eV per atom): -7.247
Energy with MP2020 corrections (hartree per atom): -0.2815

The following is a GGA-PBE calculation of LaCd2 after structural relaxation, from the Materials Project database.

a b c (Å): 5.1535 5.1535 3.5551
angles (deg): 90.00 90.00 120.00
Atoms (fractional coordinates):
1 La 0.0000 0.0000 0.0000
2 Cd 0.3333 0.6667 0.5000
3 Cd 0.6667 0.3333 0.5000

## Properties
Formation enthalpy at 0 K (eV/atom): -0.37
VASP energy (eV per atom): -2.626